(1)
A plane-wave DFT calculation with meta-GGA r2SCAN was carried out for a relaxed structure of MnPO4.

Calculated values
DFT formation energy = -2.3331 eV/atom
Electronic total energy = -246.3 eV/cell
Crystal system = orthorhombic
Total magnetic moment = 16.0 μB/cell

```
MnPO4
1.0
8.501 0.000 0.000
0.000 6.513 0.000
0.000 0.000 4.735
Mn P O
4 4 16
direct
0.000 0.000 0.000 Mn
0.000 0.500 0.000 Mn
0.500 0.000 0.500 Mn
0.500 0.500 0.500 Mn
0.179 0.250 0.462 P
0.321 0.750 0.962 P
0.679 0.250 0.038 P
0.821 0.750 0.538 P
0.124 0.055 0.313 O
0.124 0.250 0.767 O
0.124 0.445 0.313 O
0.136 0.750 0.931 O
0.364 0.250 0.431 O
0.376 0.555 0.813 O
0.376 0.750 0.267 O
0.376 0.945 0.813 O
0.624 0.055 0.187 O
0.624 0.250 0.733 O
0.624 0.445 0.187 O
0.636 0.750 0.569 O
0.864 0.250 0.069 O
0.876 0.555 0.687 O
0.876 0.750 0.233 O
0.876 0.945 0.687 O
```

(2)
A plane-wave DFT calculation with meta-GGA r2SCAN was carried out for a relaxed structure of Mn2P2O7.

Calculated values
DFT formation energy = -2.4007 eV/atom
Electronic total energy = -115.6 eV/cell
Crystal system = monoclinic
Total magnetic moment = 0.0 μB/cell

```
Mn2P2O7
1.0
3.308 -4.273 0.000
3.308 4.273 0.000
-0.984 0.000 4.429
Mn P O
2 2 7
direct
0.000 0.000 0.000 Mn
0.618 0.382 0.000 Mn
0.092 0.475 0.591 P
0.525 0.908 0.409 P
0.231 0.319 0.774 O
0.306 0.694 0.500 O
0.388 0.066 0.225 O
0.681 0.769 0.226 O
0.682 0.064 0.708 O
0.934 0.612 0.775 O
0.936 0.318 0.292 O
```

(3)
A plane-wave DFT calculation with meta-GGA r2SCAN was carried out for a relaxed structure of Mn7P6O24.

Calculated values
DFT formation energy = -2.3495 eV/atom
Electronic total energy = -387.1 eV/cell
Crystal system = triclinic
Total magnetic moment = 31.0 μB/cell

```
Mn7P6O24
1.0
6.265 0.000 0.000
-1.613 7.966 0.000
-2.960 -2.632 8.423
Mn P O
7 6 24
direct
0.000 0.000 0.000 Mn
0.041 0.729 0.530 Mn
0.265 0.803 0.274 Mn
0.369 0.448 0.108 Mn
0.631 0.552 0.892 Mn
0.735 0.197 0.726 Mn
0.959 0.271 0.470 Mn
0.099 0.601 0.838 P
0.236 0.144 0.772 P
0.402 0.231 0.372 P
0.598 0.769 0.628 P
0.764 0.856 0.228 P
0.901 0.399 0.162 P
0.026 0.199 0.665 O
0.078 0.577 0.666 O
0.117 0.534 0.162 O
0.118 0.780 0.933 O
0.207 0.953 0.708 O
0.221 0.188 0.938 O
0.259 0.273 0.473 O
0.282 0.046 0.249 O
0.315 0.537 0.918 O
0.355 0.760 0.507 O
0.440 0.366 0.286 O
0.468 0.257 0.777 O
0.532 0.743 0.223 O
0.560 0.634 0.714 O
0.645 0.240 0.493 O
0.685 0.463 0.082 O
0.718 0.954 0.751 O
0.741 0.727 0.527 O
0.779 0.812 0.062 O
0.793 0.047 0.292 O
0.882 0.220 0.067 O
0.883 0.466 0.838 O
0.922 0.423 0.334 O
0.974 0.801 0.335 O
```

(4)
A plane-wave DFT calculation with meta-GGA r2SCAN was carried out for a relaxed structure of MnP2O6.

Calculated values
DFT formation energy = -2.3615 eV/atom
Electronic total energy = -359.1 eV/cell
Crystal system = monoclinic
Total magnetic moment = 0.0 μB/cell

```
MnP2O6
1.0
6.043 -4.217 0.000
6.043 4.217 0.000
-5.016 0.000 8.860
Mn P O
4 8 24
direct
0.000 0.500 0.500 Mn
0.046 0.954 0.750 Mn
0.500 0.000 0.000 Mn
0.954 0.046 0.250 Mn
0.257 0.725 0.023 P
0.275 0.743 0.477 P
0.300 0.312 0.805 P
0.312 0.300 0.305 P
0.688 0.700 0.695 P
0.700 0.688 0.195 P
0.725 0.257 0.523 P
0.743 0.275 0.977 P
0.091 0.837 0.089 O
0.126 0.280 0.321 O
0.163 0.909 0.411 O
0.192 0.351 0.659 O
0.198 0.712 0.581 O
0.233 0.496 0.939 O
0.280 0.126 0.821 O
0.288 0.802 0.919 O
0.302 0.535 0.344 O
0.351 0.192 0.159 O
0.465 0.698 0.156 O
0.496 0.233 0.439 O
0.504 0.767 0.561 O
0.535 0.302 0.844 O
0.649 0.808 0.841 O
0.698 0.465 0.656 O
0.712 0.198 0.081 O
0.720 0.874 0.179 O
0.767 0.504 0.061 O
0.802 0.288 0.419 O
0.808 0.649 0.341 O
0.837 0.091 0.589 O
0.874 0.720 0.679 O
0.909 0.163 0.911 O
```

(5)
A plane-wave DFT calculation with meta-GGA r2SCAN was carried out for a relaxed structure of MnP3O9.

Calculated values
DFT formation energy = -2.2826 eV/atom
Electronic total energy = -250.2 eV/cell
Crystal system = monoclinic
Total magnetic moment = 8.0 μB/cell

```
MnP3O9
1.0
5.664 -3.273 0.000
5.664 3.273 0.000
-0.202 0.000 9.632
Mn P O
2 6 18
direct
0.020 0.980 0.500 Mn
0.980 0.020 0.000 Mn
0.372 0.743 0.248 P
0.388 0.879 0.735 P
0.726 0.895 0.267 P
0.743 0.372 0.748 P
0.879 0.388 0.235 P
0.895 0.726 0.767 P
0.026 0.740 0.649 O
0.239 0.990 0.857 O
0.242 0.793 0.114 O
0.245 0.740 0.375 O
0.282 0.972 0.594 O
0.474 0.915 0.272 O
0.493 0.600 0.736 O
0.600 0.493 0.236 O
0.619 0.900 0.744 O
0.740 0.026 0.149 O
0.740 0.245 0.875 O
0.766 0.963 0.410 O
0.793 0.242 0.614 O
0.900 0.619 0.244 O
0.915 0.474 0.772 O
0.963 0.766 0.910 O
0.972 0.282 0.094 O
0.990 0.239 0.357 O
```

(6)
A plane-wave DFT calculation with meta-GGA r2SCAN was carried out for a relaxed structure of Mn3P2O8.

Calculated values
Energy above the lowest structure with this stoichiometry = 0.004 eV/atom
DFT formation energy = -2.3687 eV/atom
Electronic total energy = -281.3 eV/cell
Crystal system = monoclinic
Total magnetic moment = 0.0 μB/cell

```
Mn3P2O8
1.0
5.201 0.000 0.000
0.000 8.635 0.000
-4.763 0.000 7.708
Mn P O
6 4 16
direct
0.000 0.000 0.000 Mn
0.000 0.500 0.500 Mn
0.035 0.142 0.622 Mn
0.035 0.358 0.122 Mn
0.965 0.642 0.878 Mn
0.965 0.858 0.378 Mn
0.331 0.694 0.298 P
0.331 0.806 0.798 P
0.669 0.194 0.202 P
0.669 0.306 0.702 P
0.184 0.582 0.143 O
0.184 0.918 0.643 O
0.190 0.643 0.739 O
0.190 0.857 0.239 O
0.259 0.644 0.435 O
0.259 0.856 0.935 O
0.327 0.195 0.127 O
0.327 0.305 0.627 O
0.673 0.695 0.373 O
0.673 0.805 0.873 O
0.741 0.144 0.065 O
0.741 0.356 0.565 O
0.810 0.143 0.761 O
0.810 0.357 0.261 O
0.816 0.082 0.357 O
0.816 0.418 0.857 O
```

(7)
A plane-wave DFT calculation with meta-GGA r2SCAN was carried out for a relaxed structure of MnPO4.

Calculated values
DFT formation energy = -2.3210 eV/atom
Electronic total energy = -246.0 eV/cell
Crystal system = orthorhombic
Total magnetic moment = 16.0 μB/cell

```
MnPO4
1.0
9.666 0.000 0.000
0.000 5.928 0.000
0.000 0.000 4.795
Mn P O
4 4 16
direct
0.214 0.250 0.079 Mn
0.286 0.750 0.579 Mn
0.714 0.250 0.421 Mn
0.786 0.750 0.921 Mn
0.098 0.750 0.099 P
0.402 0.250 0.599 P
0.598 0.750 0.401 P
0.902 0.250 0.901 P
0.058 0.250 0.851 O
0.122 0.750 0.784 O
0.168 0.548 0.244 O
0.168 0.952 0.244 O
0.332 0.048 0.744 O
0.332 0.452 0.744 O
0.378 0.250 0.284 O
0.442 0.750 0.351 O
0.558 0.250 0.649 O
0.622 0.750 0.716 O
0.668 0.548 0.256 O
0.668 0.952 0.256 O
0.832 0.048 0.756 O
0.832 0.452 0.756 O
0.878 0.250 0.216 O
0.942 0.750 0.149 O
```

(8)
A plane-wave DFT calculation with meta-GGA r2SCAN was carried out for a relaxed structure of Mn3TeP2Pb3O14.

Calculated values
DFT formation energy = -1.9488 eV/atom
Electronic total energy = -769.5 eV/cell
Total magnetic moment = 30.0 μB/cell

```
Mn3TeP2Pb3O14
1.0
2.402 -1.522 8.014
1.206 -5.911 -5.996
9.613 4.094 -2.103
Pb O Te P Mn
6 28 2 4 6
direct
0.599 0.000 0.500 Pb
0.600 0.000 0.000 Pb
0.400 0.401 0.500 Pb
0.000 0.599 0.500 Pb
0.401 0.400 0.000 Pb
0.000 0.600 0.000 Pb
0.213 0.125 0.897 O
0.261 0.788 0.835 O
0.875 0.089 0.397 O
0.333 0.667 0.637 O
0.667 0.333 0.363 O
0.787 0.911 0.103 O
0.875 0.089 0.897 O
0.788 0.261 0.666 O
0.667 0.333 0.863 O
0.739 0.526 0.166 O
0.261 0.788 0.334 O
0.213 0.125 0.397 O
0.125 0.213 0.603 O
0.526 0.739 0.834 O
0.474 0.212 0.166 O
0.788 0.261 0.166 O
0.125 0.213 0.103 O
0.911 0.787 0.397 O
0.089 0.875 0.103 O
0.474 0.212 0.666 O
0.089 0.875 0.603 O
0.333 0.667 0.137 O
0.212 0.474 0.334 O
0.212 0.474 0.834 O
0.526 0.739 0.334 O
0.738 0.526 0.666 O
0.787 0.911 0.603 O
0.911 0.787 0.897 O
0.000 0.000 0.000 Te
0.000 0.000 0.500 Te
0.333 0.667 0.279 P
0.333 0.667 0.779 P
0.667 0.333 0.721 P
0.667 0.333 0.221 P
0.748 0.748 0.750 Mn
0.252 0.000 0.250 Mn
0.252 0.000 0.750 Mn
0.748 0.748 0.250 Mn
0.000 0.252 0.250 Mn
0.000 0.252 0.750 Mn
```